# 1
The following is a DFT calculation (GGA-PBE) of crystalline Rb2AsAuBr6 at its relaxed geometry.

Summary:
MP2020-corrected energy = -0.1167 Ha/atom
E = -28.56 eV per formula unit
Spin magnetization = 0.00 Bohr magnetons per cell
ρ = 4.63 g cm⁻³

Cell: 7.764 7.764 7.764 Å, 60.00 60.00 60.00°
Atoms (fractional coordinates):
Rb  0.250  0.250  0.250
Rb  0.750  0.750  0.750
As  0.000  0.000  0.000
Au  0.500  0.500  0.500
Br  0.245  0.245  0.755
Br  0.245  0.755  0.245
Br  0.245  0.755  0.755
Br  0.755  0.245  0.245
Br  0.755  0.245  0.755
Br  0.755  0.755  0.245

***

# 2
The following is a DFT calculation (GGA-PBE) of crystalline EuAl3Cu2 at its relaxed geometry.

Summary:
E = -31.95 eV per formula unit
ρ = 5.69 g cm⁻³

Cell: 5.428 5.428 4.116 Å, 90.00 90.00 120.00°
Atoms (fractional coordinates):
Eu  0.000  0.000  0.000
Al  0.000  0.500  0.500
Al  0.500  0.000  0.500
Al  0.500  0.500  0.500
Cu  0.333  0.667  0.000
Cu  0.667  0.333  0.000

***

no.,E_form (meV per atom)
1,-1205
2,-376